[1]
# Cd3P2 | the Materials Project database | PBE-GGA | relaxed
data_Cd3P2
_space_group_name_H-M_alt 'P 42/n m c'
_space_group_IT_number 137
_cell_length_a 8.879
_cell_length_b 8.879
_cell_length_c 12.483
_cell_angle_alpha 90.00
_cell_angle_beta 90.00
_cell_angle_gamma 90.00
loop_
_space_group_symop_operation_xyz
'x,y,z'
'-x,-y,-z'
'-y+1/2,x,z+1/2'
'y+1/2,-x,-z+1/2'
'-x+1/2,-y+1/2,z'
'x+1/2,y+1/2,-z'
'y,-x+1/2,z+1/2'
'-y,x+1/2,-z+1/2'
'x+1/2,-y,-z'
'-x+1/2,y,z'
'-y,-x,-z+1/2'
'y,x,z+1/2'
'-x,y+1/2,-z'
'x,-y+1/2,z'
'y+1/2,x+1/2,-z+1/2'
'-y+1/2,-x+1/2,z+1/2'
loop_
_atom_site_label
_atom_site_type_symbol
_atom_site_fract_x
_atom_site_fract_y
_atom_site_fract_z
Cd1 Cd 0.006 0.750 0.099
Cd2 Cd 0.036 0.750 0.649
Cd3 Cd 0.039 0.250 0.633
P1 P 0.008 0.508 0.250
P2 P 0.250 0.250 0.492
P3 P 0.250 0.750 0.507
# formation enthalpy at 0 K: -0.04 eV/atom
# excess energy over the best structure of this formula in the dataset: 0 meV/atom

***

[2]
# NaHgCl3 | the Materials Project database | PBE-GGA | relaxed
data_NaHgCl3
_space_group_name_H-M_alt 'P n m a'
_space_group_IT_number 62
_space_group_name_Hall '-P 2ac 2n'
_cell_length_a 7.491
_cell_length_b 4.198
_cell_length_c 18.241
_cell_angle_alpha 90.00
_cell_angle_beta 90.00
_cell_angle_gamma 90.00
loop_
_atom_site_label
_atom_site_type_symbol
_atom_site_fract_x
_atom_site_fract_y
_atom_site_fract_z
Na1 Na 0.096 0.250 0.125
Hg1 Hg 0.112 0.250 0.405
Cl1 Cl 0.081 0.750 0.699
Cl2 Cl 0.149 0.250 0.868
Cl3 Cl 0.211 0.250 0.532
# formation enthalpy at 0 K: -1.39 eV/atom

***

[3]
# MgTe2Mo2WSe2S2 | the Materials Project database | PBE-GGA | relaxed
data_MgTe2Mo2WSe2S2
_space_group_name_H-M_alt 'P 3 m 1'
_space_group_IT_number 156
_space_group_name_Hall 'P 3 -2"'
_cell_length_a 3.3534
_cell_length_b 3.3534
_cell_length_c 36.4454
_cell_angle_alpha 90.00
_cell_angle_beta 90.00
_cell_angle_gamma 120.00
loop_
_atom_site_label
_atom_site_type_symbol
_atom_site_fract_x
_atom_site_fract_y
_atom_site_fract_z
Mg1 Mg 0.0000 0.0000 0.0000
Te1 Te 0.6667 0.3333 0.3054
Te2 Te 0.6667 0.3333 0.4100
Mo1 Mo 0.3333 0.6667 0.8890
Mo2 Mo 0.6667 0.3333 0.1308
W1 W 0.3333 0.6667 0.3577
Se1 Se 0.3333 0.6667 0.0848
Se2 Se 0.3333 0.6667 0.1764
S1 S 0.6667 0.3333 0.8478
S2 S 0.6667 0.3333 0.9314
# formation enthalpy at 0 K: -0.50 eV/atom
# excess energy over the best structure of this formula in the dataset: 12 meV/atom

***

[4]
# Re2H6PbCN2O10 | the Materials Project database | PBE-GGA | relaxed
data_Re2H6PbCN2O10
_space_group_name_H-M_alt 'P 1 21/c 1'
_space_group_IT_number 14
_space_group_name_Hall '-P 2ybc'
_cell_length_a 10.796
_cell_length_b 7.838
_cell_length_c 14.426
_cell_angle_alpha 90.00
_cell_angle_beta 101.32
_cell_angle_gamma 90.00
loop_
_atom_site_label
_atom_site_type_symbol
_atom_site_fract_x
_atom_site_fract_y
_atom_site_fract_z
Re1 Re 0.004 0.110 0.265
Re2 Re 0.483 0.248 0.408
H1 H 0.196 0.055 0.080
H2 H 0.240 0.547 0.170
H3 H 0.302 0.107 0.184
H4 H 0.336 0.109 0.730
H5 H 0.353 0.689 0.352
H6 H 0.358 0.615 0.828
Pb1 Pb 0.142 0.660 0.962
C1 C 0.210 0.189 0.610
N1 N 0.241 0.145 0.125
N2 N 0.274 0.074 0.671
O1 O 0.003 0.609 0.797
O2 O 0.051 0.592 0.359
O3 O 0.093 0.701 0.163
O4 O 0.123 0.141 0.541
O5 O 0.161 0.161 0.309
O6 O 0.301 0.708 0.838
O7 O 0.350 0.732 0.558
O8 O 0.420 0.049 0.878
O9 O 0.420 0.164 0.500
O10 O 0.446 0.113 0.310
# formation enthalpy at 0 K: -1.40 eV/atom
# excess energy over the best structure of this formula in the dataset: 46 meV/atom

***

[5]
# K6Na14MgTl18 | the Materials Project database | PBE-GGA | relaxed
data_K6Na14MgTl18
_space_group_name_H-M_alt 'P m -3'
_space_group_IT_number 200
_space_group_name_Hall '-P 2 2 3'
_cell_length_a 10.822
_cell_length_b 10.822
_cell_length_c 10.822
_cell_angle_alpha 90.00
_cell_angle_beta 90.00
_cell_angle_gamma 90.00
loop_
_atom_site_label
_atom_site_type_symbol
_atom_site_fract_x
_atom_site_fract_y
_atom_site_fract_z
K1 K 0.000 0.312 0.500
Na1 Na 0.000 0.500 0.170
Na2 Na 0.219 0.219 0.219
Mg1 Mg 0.500 0.500 0.500
Tl1 Tl 0.000 0.000 0.221
Tl2 Tl 0.247 0.500 0.346
# formation enthalpy at 0 K: -0.13 eV/atom

***

[6]
# Cs | the Materials Project database | PBE-GGA | relaxed
data_Cs
_space_group_name_H-M_alt 'P n m a'
_space_group_IT_number 62
_space_group_name_Hall '-P 2ac 2n'
_cell_length_a 10.367
_cell_length_b 8.238
_cell_length_c 5.444
_cell_angle_alpha 90.00
_cell_angle_beta 90.00
_cell_angle_gamma 90.00
loop_
_atom_site_label
_atom_site_type_symbol
_atom_site_fract_x
_atom_site_fract_y
_atom_site_fract_z
Cs1 Cs 0.132 0.250 0.161
# formation enthalpy at 0 K: 0.05 eV/atom
# excess energy over the best structure of this formula in the dataset: 55 meV/atom

***

[7]
# CoSbS | the Materials Project database | PBE-GGA | relaxed
data_CoSbS
_space_group_name_H-M_alt 'P b c a'
_space_group_IT_number 61
_space_group_name_Hall '-P 2ac 2ab'
_cell_length_a 5.840
_cell_length_b 5.974
_cell_length_c 11.690
_cell_angle_alpha 90.00
_cell_angle_beta 90.00
_cell_angle_gamma 90.00
loop_
_atom_site_label
_atom_site_type_symbol
_atom_site_fract_x
_atom_site_fract_y
_atom_site_fract_z
Co1 Co 0.015 0.166 0.115
Sb1 Sb 0.119 0.050 0.320
S1 S 0.135 0.686 0.565
# formation enthalpy at 0 K: -0.53 eV/atom

***

[8]
# MgSi | the Materials Project database | PBE-GGA | relaxed
data_MgSi
_space_group_name_H-M_alt 'P 1'
_space_group_IT_number 1
_space_group_name_Hall 'P 1'
_cell_length_a 5.590
_cell_length_b 6.131
_cell_length_c 13.721
_cell_angle_alpha 100.26
_cell_angle_beta 90.54
_cell_angle_gamma 99.96
loop_
_atom_site_label
_atom_site_type_symbol
_atom_site_fract_x
_atom_site_fract_y
_atom_site_fract_z
Mg1 Mg 0.000 0.000 0.000
Mg2 Mg 0.002 0.490 0.835
Mg3 Mg 0.139 0.433 0.522
Mg4 Mg 0.159 0.939 0.495
Mg5 Mg 0.298 0.851 0.196
Mg6 Mg 0.318 0.355 0.172
Mg7 Mg 0.485 0.951 0.847
Mg8 Mg 0.519 0.491 0.986
Mg9 Mg 0.681 0.134 0.664
Mg10 Mg 0.697 0.641 0.640
Mg11 Mg 0.834 0.556 0.337
Mg12 Mg 0.855 0.062 0.311
Si1 Si 0.045 0.541 0.041
Si2 Si 0.188 0.197 0.686
Si3 Si 0.226 0.790 0.674
Si4 Si 0.336 0.632 0.359
Si5 Si 0.348 0.233 0.353
Si6 Si 0.496 0.041 0.045
Si7 Si 0.506 0.447 0.791
Si8 Si 0.648 0.261 0.482
Si9 Si 0.658 0.860 0.475
Si10 Si 0.772 0.710 0.156
Si11 Si 0.813 0.300 0.146
Si12 Si 0.962 0.954 0.794
# formation enthalpy at 0 K: 0.07 eV/atom

***

[9]
# Li6CuB4O10 | the Materials Project database | PBE-GGA | relaxed
data_Li6CuB4O10
_space_group_name_H-M_alt 'P -1'
_space_group_IT_number 2
_space_group_name_Hall '-P 1'
_cell_length_a 3.365
_cell_length_b 6.768
_cell_length_c 9.366
_cell_angle_alpha 78.80
_cell_angle_beta 89.60
_cell_angle_gamma 86.22
loop_
_atom_site_label
_atom_site_type_symbol
_atom_site_fract_x
_atom_site_fract_y
_atom_site_fract_z
Li1 Li 0.015 0.347 0.376
Li2 Li 0.071 0.209 0.970
Li3 Li 0.470 0.519 0.147
Cu1 Cu 0.500 0.000 0.500
B1 B 0.116 0.219 0.710
B2 B 0.376 0.853 0.814
O1 O 0.030 0.391 0.765
O2 O 0.146 0.206 0.569
O3 O 0.180 0.041 0.823
O4 O 0.442 0.721 0.944
O5 O 0.475 0.798 0.684
# formation enthalpy at 0 K: -2.50 eV/atom
# excess energy over the best structure of this formula in the dataset: 0 meV/atom

***

[10]
# AlV12Ge3 | the Materials Project database | PBE-GGA | relaxed
data_AlV12Ge3
_space_group_name_H-M_alt 'P m m m'
_space_group_IT_number 47
_space_group_name_Hall '-P 2 2'
_cell_length_a 4.771
_cell_length_b 4.776
_cell_length_c 9.556
_cell_angle_alpha 90.00
_cell_angle_beta 90.00
_cell_angle_gamma 90.00
loop_
_atom_site_label
_atom_site_type_symbol
_atom_site_fract_x
_atom_site_fract_y
_atom_site_fract_z
Al1 Al 0.000 0.000 0.000
V1 V 0.000 0.500 0.125
V2 V 0.000 0.500 0.375
V3 V 0.251 0.000 0.250
V4 V 0.500 0.249 0.000
V5 V 0.500 0.250 0.500
Ge1 Ge 0.000 0.000 0.500
Ge2 Ge 0.500 0.500 0.250
# formation enthalpy at 0 K: -0.28 eV/atom

***

[11]
# SiO2 | the Materials Project database | PBE-GGA | relaxed
data_SiO2
_space_group_name_H-M_alt 'I m m a'
_space_group_IT_number 74
_space_group_name_Hall '-I 2b 2'
_cell_length_a 5.290
_cell_length_b 9.935
_cell_length_c 8.798
_cell_angle_alpha 90.00
_cell_angle_beta 90.00
_cell_angle_gamma 90.00
loop_
_atom_site_label
_atom_site_type_symbol
_atom_site_fract_x
_atom_site_fract_y
_atom_site_fract_z
Si1 Si 0.000 0.092 0.150
O1 O 0.000 0.000 0.000
O2 O 0.000 0.250 0.100
O3 O 0.250 0.058 0.250
# formation enthalpy at 0 K: -3.26 eV/atom

***

[12]
# Ho2MgSe4 | the Materials Project database | PBE-GGA | relaxed
data_Ho2MgSe4
_space_group_name_H-M_alt 'P -1'
_space_group_IT_number 2
_space_group_name_Hall '-P 1'
_cell_length_a 7.451
_cell_length_b 8.637
_cell_length_c 13.819
_cell_angle_alpha 99.14
_cell_angle_beta 95.40
_cell_angle_gamma 90.01
loop_
_atom_site_label
_atom_site_type_symbol
_atom_site_fract_x
_atom_site_fract_y
_atom_site_fract_z
Ho1 Ho 0.131 0.444 0.299
Ho2 Ho 0.132 0.956 0.302
Ho3 Ho 0.259 0.126 0.001
Ho4 Ho 0.364 0.300 0.699
Mg1 Mg 0.251 0.623 0.997
Mg2 Mg 0.367 0.801 0.703
Se1 Se 0.097 0.406 0.102
Se2 Se 0.104 0.897 0.104
Se3 Se 0.194 0.541 0.627
Se4 Se 0.195 0.022 0.626
Se5 Se 0.310 0.719 0.377
Se6 Se 0.327 0.219 0.375
Se7 Se 0.393 0.844 0.892
Se8 Se 0.405 0.354 0.897
# formation enthalpy at 0 K: -1.77 eV/atom
# excess energy over the best structure of this formula in the dataset: 188 meV/atom